Run w
Entry from Materials Project: La4MgFeO8 after structural relaxation (PBE+U).

Results
Total magnetic moment   3.65 μB per formula unit

abc: 5.5897 7.9852 5.0873
angles: 89.89 89.96 110.49
Fractional positions:
1 La 0.1811 0.3622 0.5002
2 La 0.6191 0.2379 0.0003
3 La 0.3809 0.7621 0.9997
4 La 0.8189 0.6379 0.4998
5 Mg 0.0000 0.0000 0.5000
6 Fe 0.5000 0.0000 0.5000
7 O 0.2533 0.9998 0.2404
8 O 0.2533 0.0006 0.7595
9 O 0.7467 0.9994 0.2405
10 O 0.7467 0.0002 0.7596
11 O 0.2009 0.4020 0.0002
12 O 0.6738 0.3470 0.5003
13 O 0.3262 0.6530 0.4997
14 O 0.7991 0.5980 0.9998

Run x
Entry from Materials Project: La4MgFeO8 after structural relaxation (PBE+U).

Results
Total magnetic moment   4.00 μB per formula unit

abc: 5.5300 6.8702 5.6457
angles: 90.03 89.91 113.73
Fractional positions:
1 La 0.1366 0.2733 0.5000
2 La 0.6382 0.2762 0.0000
3 La 0.3618 0.7238 0.0000
4 La 0.8634 0.7267 0.5000
5 Mg 0.0000 0.0000 0.0000
6 Fe 0.5000 0.0000 0.5000
7 O 0.2483 0.0001 0.2443
8 O 0.2488 0.0001 0.7552
9 O 0.7512 0.9999 0.2448
10 O 0.7517 0.9999 0.7557
11 O 0.1792 0.3586 0.0000
12 O 0.6829 0.3656 0.5000
13 O 0.3171 0.6344 0.5000
14 O 0.8208 0.6414 0.0000

Decreasing stability: run x, run w

Run w
Entry from Materials Project: LaMgFeO3 after structural relaxation (PBE+U).

Results
Total magnetic moment   3.01 μB per formula unit

abc: 4.5089 4.4905 4.4905
angles: 81.98 81.89 81.89
Fractional positions:
1 La 0.8753 0.8749 0.8749
2 Mg 0.2501 0.2500 0.2500
3 Fe 0.5410 0.5414 0.5414
4 O 0.5286 0.5283 0.0267
5 O 0.5286 0.0267 0.5283
6 O 0.0264 0.5286 0.5286

Run x
Entry from Materials Project: LaMgFeO3 after structural relaxation (PBE+U).

Results
Total magnetic moment   3.09 μB per formula unit

abc: 6.4759 3.9218 3.9218
angles: 90.00 90.00 90.00
Fractional positions:
1 La 0.0000 0.0000 0.0000
2 Mg 0.5000 0.0000 0.0000
3 Fe 0.5000 0.5000 0.5000
4 O 0.5000 0.5000 0.0000
5 O 0.5000 0.0000 0.5000
6 O 0.0000 0.5000 0.5000

Decreasing stability: run w, run x

Run w
Entry from Materials Project: Sr2La14Mg4Fe12O45 after structural relaxation (PBE+U).

Results
Total magnetic moment   60.00 μB per formula unit

abc: 5.6729 5.6069 31.6419
angles: 89.90 89.91 89.98
Fractional positions:
1 Sr 0.0265 0.0161 0.1894
2 Sr 0.0258 0.0172 0.4385
3 La 0.0350 0.0112 0.6862
4 La 0.0350 0.0096 0.9380
5 La 0.4709 0.5098 0.0620
6 La 0.4601 0.5098 0.8123
7 La 0.4743 0.5078 0.3116
8 La 0.4695 0.5140 0.5623
9 La 0.5317 0.4889 0.4402
10 La 0.5341 0.4920 0.1907
11 La 0.5358 0.4879 0.6862
12 La 0.5363 0.4893 0.9380
13 La 0.9573 0.9833 0.3108
14 La 0.9582 0.9800 0.0616
15 La 0.9596 0.9911 0.8123
16 La 0.9569 0.9782 0.5618
17 Mg 0.0044 0.5055 0.9944
18 Mg 0.0037 0.5077 0.2456
19 Mg 0.0042 0.5075 0.6307
20 Mg 0.0028 0.5064 0.4954
21 Fe 0.4986 0.9977 0.0016
22 Fe 0.4986 0.0028 0.1245
23 Fe 0.4968 0.0009 0.2515
24 Fe 0.4976 0.0000 0.3740
25 Fe 0.4986 0.9991 0.7497
26 Fe 0.4993 0.9986 0.6234
27 Fe 0.4992 0.0023 0.5014
28 Fe 0.4987 0.9997 0.8751
29 Fe 0.0010 0.5068 0.1298
30 Fe 0.0014 0.5078 0.3796
31 Fe 0.9975 0.5023 0.7502
32 Fe 0.9979 0.5021 0.8748
33 O 0.0192 0.4161 0.8128
34 O 0.2158 0.7725 0.0148
35 O 0.2174 0.7642 0.1097
36 O 0.2211 0.7727 0.2635
37 O 0.2159 0.7648 0.3588
38 O 0.2197 0.7715 0.5153
39 O 0.2104 0.7934 0.8639
40 O 0.2159 0.7753 0.6108
41 O 0.2113 0.7901 0.7621
42 O 0.2848 0.2914 0.1313
43 O 0.2868 0.2927 0.3813
44 O 0.2878 0.2894 0.2442
45 O 0.2873 0.2849 0.6330
46 O 0.2889 0.2899 0.8875
47 O 0.2910 0.2896 0.4928
48 O 0.2908 0.2902 0.7381
49 O 0.2884 0.2849 0.9936
50 O 0.4919 0.9220 0.1867
51 O 0.4903 0.9163 0.4363
52 O 0.4789 0.9132 0.6864
53 O 0.4764 0.9135 0.9393
54 O 0.5164 0.0767 0.0632
55 O 0.5127 0.0759 0.3131
56 O 0.5233 0.0878 0.8127
57 O 0.5195 0.0854 0.5629
58 O 0.7237 0.7166 0.2633
59 O 0.7242 0.7089 0.0146
60 O 0.7297 0.7121 0.1096
61 O 0.7309 0.7128 0.3587
62 O 0.7073 0.7116 0.7623
63 O 0.7219 0.7136 0.5143
64 O 0.7241 0.7089 0.6102
65 O 0.7066 0.7101 0.8639
66 O 0.7901 0.2232 0.1289
67 O 0.7812 0.2243 0.2462
68 O 0.7918 0.2234 0.3778
69 O 0.7850 0.2186 0.4951
70 O 0.7942 0.2092 0.6328
71 O 0.7898 0.2087 0.7382
72 O 0.7868 0.2083 0.8876
73 O 0.7944 0.2077 0.9935
74 O 0.9628 0.5774 0.1864
75 O 0.9720 0.5925 0.6902
76 O 0.9742 0.5898 0.9350
77 O 0.9648 0.5792 0.4362

Run x
Entry from Materials Project: Sr2La14Mg4Fe12O45 after structural relaxation (PBE+U).

Results
Total magnetic moment   60.00 μB per formula unit

abc: 5.6387 7.9442 22.5742
angles: 90.17 90.02 90.02
Fractional positions:
1 Sr 0.9942 0.7520 0.0106
2 Sr 0.9863 0.7495 0.7560
3 La 0.9846 0.7444 0.5038
4 La 0.9934 0.7528 0.2474
5 La 0.5269 0.7544 0.8863
6 La 0.5267 0.7457 0.6338
7 La 0.5225 0.7490 0.3783
8 La 0.5107 0.7520 0.1271
9 La 0.4848 0.2460 0.8729
10 La 0.4824 0.2521 0.6201
11 La 0.4860 0.2516 0.3703
12 La 0.4932 0.2506 0.1188
13 La 0.0182 0.2512 0.7461
14 La 0.0166 0.2529 0.4925
15 La 0.0115 0.2508 0.2420
16 La 0.0003 0.2455 0.9987
17 Mg 0.9919 0.0168 0.8754
18 Mg 0.9934 0.4797 0.6249
19 Mg 0.9908 0.4825 0.3733
20 Mg 0.9892 0.0179 0.3735
21 Fe 0.5004 0.5050 0.0004
22 Fe 0.5054 0.5044 0.7501
23 Fe 0.5043 0.5055 0.2511
24 Fe 0.5017 0.5059 0.5000
25 Fe 0.5039 0.9956 0.9989
26 Fe 0.5033 0.9934 0.7527
27 Fe 0.5021 0.9971 0.2514
28 Fe 0.5020 0.9934 0.4980
29 Fe 0.9891 0.4822 0.8763
30 Fe 0.0028 0.4977 0.1249
31 Fe 0.9919 0.0194 0.6243
32 Fe 0.0024 0.0039 0.1250
33 O 0.0815 0.7507 0.1267
34 O 0.2274 0.0469 0.8062
35 O 0.2298 0.0184 0.3077
36 O 0.2304 0.0355 0.5578
37 O 0.2261 0.4582 0.8088
38 O 0.2267 0.0524 0.0564
39 O 0.2385 0.4640 0.5590
40 O 0.2413 0.4831 0.3100
41 O 0.2274 0.4457 0.0566
42 O 0.2744 0.4816 0.9286
43 O 0.2711 0.4524 0.6826
44 O 0.2677 0.4601 0.4334
45 O 0.2732 0.4444 0.1832
46 O 0.2830 0.0171 0.9281
47 O 0.2711 0.0389 0.6790
48 O 0.2752 0.0406 0.4314
49 O 0.2743 0.0571 0.1826
50 O 0.4322 0.7491 0.0054
51 O 0.4210 0.7497 0.7432
52 O 0.4071 0.7510 0.4964
53 O 0.4189 0.7508 0.2366
54 O 0.5940 0.2493 0.7540
55 O 0.5864 0.2515 0.2616
56 O 0.5925 0.2463 0.5043
57 O 0.5766 0.2525 0.9933
58 O 0.7254 0.9468 0.8203
59 O 0.7353 0.5530 0.8207
60 O 0.7486 0.9304 0.5683
61 O 0.7357 0.9338 0.3171
62 O 0.7197 0.9747 0.0710
63 O 0.7442 0.5622 0.5667
64 O 0.7464 0.5726 0.3161
65 O 0.7205 0.5287 0.0706
66 O 0.7771 0.9466 0.6888
67 O 0.7677 0.5514 0.6896
68 O 0.7760 0.9443 0.9427
69 O 0.7780 0.5618 0.9409
70 O 0.7778 0.9666 0.1939
71 O 0.7780 0.5357 0.1936
72 O 0.7760 0.9330 0.4411
73 O 0.7696 0.5604 0.4403
74 O 0.9095 0.2533 0.8835
75 O 0.9011 0.2455 0.6241
76 O 0.8956 0.2502 0.3811
77 O 0.9176 0.2508 0.1294

Decreasing stability: run w, run x

Run w
Entry from Materials Project: La2MgFe2Te2O12 after structural relaxation (PBE+U).

Results
Total magnetic moment   8.00 μB per formula unit

abc: 5.6808 5.5810 7.9726
angles: 90.46 89.84 94.34
Fractional positions:
1 La 0.0573 0.0032 0.2435
2 La 0.4422 0.4842 0.7504
3 Mg 0.9577 0.9880 0.7249
4 Fe 0.5197 0.9871 0.0083
5 Fe 0.9854 0.5085 0.4871
6 Te 0.5154 0.9892 0.5034
7 Te 0.9772 0.5077 0.9953
8 O 0.0009 0.6196 0.7596
9 O 0.1433 0.2215 0.9258
10 O 0.2285 0.1591 0.5649
11 O 0.2724 0.7057 0.0302
12 O 0.3149 0.6948 0.4815
13 O 0.4793 0.0666 0.2719
14 O 0.5700 0.9113 0.7420
15 O 0.7131 0.2801 0.5611
16 O 0.6858 0.3149 0.9546
17 O 0.8134 0.8390 0.4699
18 O 0.8110 0.7884 0.0475
19 O 0.9886 0.4103 0.2285

Run x
Entry from Materials Project: La2MgFe2Te2O12 after structural relaxation (PBE+U).

Results
Total magnetic moment   0.00 μB per formula unit

abc: 5.6621 5.5776 7.8853
angles: 89.13 88.98 90.22
Fractional positions:
1 La 0.0444 0.0084 0.2627
2 La 0.5626 0.4959 0.7833
3 Mg 0.0587 0.4937 0.5282
4 Fe 0.5344 0.0022 0.0141
5 Fe 0.6304 0.5089 0.3105
6 Te 0.5272 0.9988 0.5138
7 Te 0.0343 0.5016 0.0156
8 O 0.0054 0.5683 0.7778
9 O 0.3113 0.3065 0.9877
10 O 0.2422 0.1784 0.5395
11 O 0.2335 0.7767 0.0524
12 O 0.3530 0.7010 0.4617
13 O 0.5310 0.1011 0.2742
14 O 0.5421 0.9201 0.7519
15 O 0.7214 0.2926 0.5394
16 O 0.8319 0.2235 0.9944
17 O 0.8040 0.7913 0.4647
18 O 0.7420 0.6866 0.0724
19 O 0.0167 0.4353 0.2645

Decreasing stability: run w, run x

Run w
Entry from Materials Project: La2MgFe2Te2O12 after structural relaxation (PBE+U).

Results
Total magnetic moment   8.00 μB per formula unit

abc: 5.4663 5.4367 10.1008
angles: 89.77 89.84 60.06
Fractional positions:
1 La 0.9996 0.9990 0.4984
2 La 0.0010 0.9988 0.9946
3 Mg 0.6661 0.6675 0.0188
4 Fe 0.3277 0.3355 0.7572
5 Fe 0.6678 0.6657 0.2824
6 Te 0.6673 0.6656 0.7385
7 Te 0.3333 0.3327 0.2408
8 O 0.9781 0.3738 0.6420
9 O 0.6479 0.9761 0.6409
10 O 0.3725 0.6434 0.6457
11 O 0.6132 0.0112 0.1301
12 O 0.3752 0.6144 0.1302
13 O 0.0109 0.3757 0.1305
14 O 0.0413 0.6265 0.3498
15 O 0.3322 0.0379 0.3498
16 O 0.6270 0.3303 0.3500
17 O 0.3946 0.9580 0.8672
18 O 0.6547 0.3959 0.8709
19 O 0.9520 0.6545 0.8685

Run x
Entry from Materials Project: La2MgFe2Te2O12 after structural relaxation (PBE+U).

Results
Total magnetic moment   8.00 μB per formula unit

abc: 5.3490 5.3406 10.9895
angles: 89.89 89.99 59.85
Fractional positions:
1 La 0.0013 0.9986 0.5339
2 La 0.0023 0.9985 0.9660
3 Mg 0.9993 0.0001 0.2502
4 Fe 0.3379 0.3305 0.7501
5 Fe 0.6682 0.6631 0.2501
6 Te 0.6683 0.6674 0.7499
7 Te 0.3328 0.3323 0.2500
8 O 0.9772 0.3764 0.6482
9 O 0.6465 0.9753 0.6465
10 O 0.3787 0.6529 0.6471
11 O 0.6506 0.0287 0.1519
12 O 0.3157 0.6508 0.1513
13 O 0.0291 0.3208 0.1515
14 O 0.0316 0.6501 0.3485
15 O 0.3172 0.0305 0.3490
16 O 0.6488 0.3218 0.3479
17 O 0.3770 0.9731 0.8524
18 O 0.6455 0.3787 0.8516
19 O 0.9720 0.6501 0.8538

Decreasing stability: run x, run w

Run w
Entry from Materials Project: La4FeNi3O12 after structural relaxation (PBE+U).

Results
Total magnetic moment   3.04 μB per formula unit

abc: 5.4682 18.3739 5.4693
angles: 82.44 61.34 82.47
Fractional positions:
1 La 0.3145 0.0598 0.3113
2 La 0.8120 0.5620 0.8138
3 La 0.1855 0.4402 0.1887
4 La 0.6880 0.9381 0.6862
5 La 0.5623 0.3153 0.5637
6 La 0.0634 0.8134 0.0633
7 La 0.9377 0.1847 0.9363
8 La 0.4366 0.6866 0.4367
9 Fe 0.7500 0.7500 0.7500
10 Fe 0.2500 0.2500 0.2500
11 Ni 0.0001 0.0001 0.9998
12 Ni 0.4999 0.4999 0.5003
13 Ni 0.6260 0.1250 0.6229
14 Ni 0.1275 0.6250 0.1216
15 Ni 0.8741 0.3750 0.8771
16 Ni 0.3724 0.8750 0.3783
17 O 0.7493 0.0628 0.8766
18 O 0.2496 0.5617 0.3756
19 O 0.7507 0.4372 0.6235
20 O 0.2504 0.9383 0.1244
21 O 0.9998 0.3112 0.1289
22 O 0.4936 0.8133 0.6303
23 O 0.5002 0.1888 0.3711
24 O 0.0064 0.6867 0.8697
25 O 0.4516 0.2048 0.8902
26 O 0.9563 0.7036 0.3843
27 O 0.0484 0.2952 0.6098
28 O 0.5437 0.7965 0.1157
29 O 0.7022 0.4535 0.1430
30 O 0.2028 0.9542 0.6432
31 O 0.7979 0.0465 0.3569
32 O 0.2971 0.5458 0.8569
33 O 0.9905 0.1718 0.4169
34 O 0.4887 0.6699 0.9214
35 O 0.5095 0.3282 0.0832
36 O 0.0113 0.8301 0.5786
37 O 0.2356 0.4218 0.6718
38 O 0.7338 0.9226 0.1723
39 O 0.2644 0.0782 0.8282
40 O 0.7662 0.5774 0.3276

Run x
Entry from Materials Project: La4FeNi3O12 after structural relaxation (PBE+U).

Results
Total magnetic moment   8.00 μB per formula unit

abc: 5.4616 5.5556 7.7962
angles: 89.87 88.51 89.98
Fractional positions:
1 La 0.4975 0.9987 0.7539
2 La 0.0021 0.5016 0.2457
3 La 0.5025 0.0013 0.2461
4 La 0.9979 0.4984 0.7543
5 Fe 0.5000 0.5000 0.5000
6 Ni 0.0000 0.0000 0.5000
7 Ni 0.5000 0.5000 0.0000
8 Ni 0.0000 0.0000 0.0000
9 O 0.2166 0.7124 0.4692
10 O 0.7220 0.2157 0.9668
11 O 0.2866 0.2165 0.5317
12 O 0.7822 0.7243 0.0346
13 O 0.9985 0.0690 0.2474
14 O 0.4974 0.5613 0.7486
15 O 0.7134 0.7835 0.4683
16 O 0.2178 0.2757 0.9654
17 O 0.0015 0.9310 0.7526
18 O 0.5026 0.4387 0.2514
19 O 0.7834 0.2876 0.5308
20 O 0.2780 0.7843 0.0332

Decreasing stability: run x, run w